(1)
# Na2Cd2O3

An optimized crystal structure of Na2Cd2O3 (PBE, the Materials Project database).

* MP2020-corrected energy: -58.75 eV for the cell shown
* formation energy from the elements: -1.4344 eV per atom

Cell: 5.9434 6.2590 6.6011 Å, 63.97 90.00 90.00°
Last column: nearest neighbours and their distance in Å.
Sites, in units of the cell vectors:
1 O 0.0000 0.0000 0.0000  2 Cd 2.24, 4 Na 2.35-2.36
2 O 0.9837 0.2754 0.3261  3 Cd 2.21-2.32, 1 Na 2.36
3 O 0.4837 0.2246 0.6739  3 Cd 2.21-2.32, 1 Na 2.36
4 O 0.5163 0.7754 0.3261  3 Cd 2.21-2.32, 1 Na 2.36
5 O 0.5000 0.5000 0.0000  2 Cd 2.24, 4 Na 2.35-2.36
6 O 0.0163 0.7246 0.6739  3 Cd 2.21-2.32, 1 Na 2.36
7 Na 0.3136 0.1312 0.1304  3 O 2.35-2.36
8 Na 0.1864 0.6312 0.1304  3 O 2.35-2.36
9 Na 0.6864 0.8688 0.8696  3 O 2.35-2.36
10 Na 0.8136 0.3688 0.8696  3 O 2.35-2.36
11 Cd 0.8515 0.9227 0.3367  4 O 2.21-2.32
12 Cd 0.3515 0.5773 0.6633  4 O 2.21-2.32
13 Cd 0.1485 0.0773 0.6633  4 O 2.21-2.32
14 Cd 0.6485 0.4227 0.3367  4 O 2.21-2.32

(2)
# Sr2TmRuO6

An optimized crystal structure of Sr2TmRuO6 (PBE, the Materials Project database).

* MP2020-corrected energy: -151.45 eV for the cell shown
* formation energy from the elements: -2.8907 eV per atom
* magnetic moment: 3.00 μB per formula unit

Cell: 5.8181 5.7960 10.0243 Å, 54.92 90.00 90.00°
Last column: nearest neighbours and their distance in Å.
Sites, in units of the cell vectors:
1 O 0.7042 0.2343 0.0353  1 Ru 1.98, 1 Tm 2.20
2 O 0.7716 0.8339 0.9642  1 Ru 1.99, 1 Tm 2.20
3 O 0.4854 0.3041 0.7634  1 Ru 1.98, 1 Tm 2.20
4 O 0.2716 0.1661 0.5358  1 Ru 1.99, 1 Tm 2.20
5 O 0.5146 0.6959 0.2366  1 Ru 1.98, 1 Tm 2.20
6 O 0.2042 0.7657 0.4647  1 Ru 1.98, 1 Tm 2.20
7 O 0.2284 0.1661 0.0358  1 Ru 1.99, 1 Tm 2.20
8 O 0.7284 0.8339 0.4642  1 Ru 1.99, 1 Tm 2.20
9 O 0.9854 0.6959 0.7366  1 Ru 1.98, 1 Tm 2.20
10 O 0.7958 0.2343 0.5353  1 Ru 1.98, 1 Tm 2.20
11 O 0.2958 0.7657 0.9647  1 Ru 1.98, 1 Tm 2.20
12 O 0.0146 0.3041 0.2634  1 Ru 1.98, 1 Tm 2.20
13 Sr 0.5293 0.7567 0.7491  6 O 2.56-2.82
14 Sr 0.4707 0.2433 0.2509  6 O 2.56-2.82
15 Sr 0.9707 0.7567 0.2491  6 O 2.56-2.82
16 Sr 0.0293 0.2433 0.7509  6 O 2.56-2.82
17 Ru 0.5000 0.0000 0.0000  6 O 1.98-1.99
18 Ru 0.0000 0.0000 0.5000  6 O 1.98-1.99
19 Tm 0.5000 0.5000 0.5000  6 O 2.20
20 Tm 0.0000 0.5000 0.0000  6 O 2.20

(3)
# Te4MoW3Se2S2

An optimized crystal structure of Te4MoW3Se2S2 (PBE, the Materials Project database).

* MP2020-corrected energy: -83.03 eV for the cell shown
* formation energy from the elements: -0.4557 eV per atom
* distance to the lowest polymorph of the same formula: 0.002 eV per atom
* magnetic moment: 0.00 μB per formula unit

Cell: 3.3956 3.3956 38.8836 Å, 90.00 90.00 120.00°
Last column: nearest neighbours and their distance in Å.
Sites, in units of the cell vectors:
1 Mo 0.0000 0.0000 0.4695  6 Te 2.71
2 Te 0.3333 0.6667 0.5177  3 Mo 2.71
3 Te 0.3333 0.6667 0.4213  3 Mo 2.71
4 Te 0.0000 0.0000 0.6092  3 W 2.72
5 Te 0.0000 0.0000 0.7061  3 W 2.72
6 W 0.0000 0.0000 0.0939  6 Se 2.57
7 W 0.3333 0.6667 0.6577  6 Te 2.72
8 W 0.3333 0.6667 0.2818  6 S 2.47
9 S 0.0000 0.0000 0.2430  3 W 2.47
10 S 0.0000 0.0000 0.3206  3 W 2.47
11 Se 0.3333 0.6667 0.0513  3 W 2.57
12 Se 0.3333 0.6667 0.1366  3 W 2.57

(4)
# Mg3Si2

An optimized crystal structure of Mg3Si2 (PBE, the Materials Project database).

* MP2020-corrected energy: -30.00 eV for the cell shown
* formation energy from the elements: 0.1303 eV per atom
* magnetic moment: 0.00 μB per formula unit

Cell: 7.9516 7.9516 7.0366 Å, 84.40 84.40 26.72°
Last column: nearest neighbours and their distance in Å.
Sites, in units of the cell vectors:
1 Si 0.6994 0.6994 0.2154  2 Si 2.47, 2 Mg 2.76
2 Si 0.1188 0.1188 0.3887  2 Si 2.47
3 Si 0.8812 0.8812 0.6113  2 Si 2.47
4 Si 0.3006 0.3006 0.7846  2 Si 2.47, 2 Mg 2.76
5 Mg 0.3073 0.3073 0.3645  6 Si 2.76-2.95, 3 Mg 2.99-3.08
6 Mg 0.6927 0.6927 0.6355  6 Si 2.76-2.95, 3 Mg 2.99-3.08
7 Mg 0.8757 0.8757 0.0272  4 Si 2.84-2.92, 2 Mg 3.10
8 Mg 0.4999 0.4999 0.7308  3 Si 2.79-3.07, 1 Mg 2.99
9 Mg 0.1243 0.1243 0.9728  4 Si 2.84-2.92, 2 Mg 3.10
10 Mg 0.5001 0.5001 0.2692  3 Si 2.79-3.07, 1 Mg 2.99

> Which value of MP2020-corrected energy does entry 3 give?

-83.03 eV for the cell shown

> The lowest formation energy from the elements belongs to which entry?

Sr2TmRuO6